LiBi2As2Pb2O10 | the Materials Project database | PBE | relaxed; distance to the lowest polymorph of the same formula = 19 meV/atom; space group = No. 1; total magnetization = 0.0 μB/f.u.
1.0
5.5730 -0.0160 -2.1689
-1.0999 6.7346 -2.4774
-0.0365 0.2421 7.3985
O Bi Pb As Li
10 2 2 2 1
Direct
0.0799 0.2137 0.6964 O
0.7814 0.6968 0.6313 O
0.8389 0.7239 0.2321 O
0.5568 0.2580 0.7249 O
0.4096 0.7877 0.3068 O
0.2962 0.0073 0.0075 O
0.1463 0.3065 0.3849 O
0.3489 0.5868 0.8084 O
0.5380 0.4011 0.1892 O
0.8325 0.0125 0.0024 O
0.0527 0.7624 0.9851 Bi
0.1165 0.2610 0.0403 Bi
0.7162 0.0932 0.2959 Pb
0.4455 0.9010 0.7035 Pb
0.2826 0.3446 0.6448 As
0.6598 0.6546 0.3572 As
0.6362 0.4889 0.9893 Li



LiMo6S8 | the Materials Project database | PBE | relaxed; distance to the lowest polymorph of the same formula = 4 meV/atom; space group = No. 148; total magnetization = 0.0 μB/f.u.
1.0
0.4826 -2.6920 5.9191
-3.1927 -5.1779 -2.3479
5.7650 -2.4350 -1.8308
Li S Mo
1 8 6
Direct
0.0000 0.0000 0.0000 Li
0.2209 0.2209 0.2209 S
0.1327 0.7304 0.3835 S
0.8673 0.2696 0.6165 S
0.7304 0.3835 0.1327 S
0.7791 0.7791 0.7791 S
0.3835 0.1327 0.7304 S
0.6165 0.8673 0.2696 S
0.2696 0.6165 0.8673 S
0.2165 0.4078 0.5507 Mo
0.5507 0.2165 0.4078 Mo
0.7835 0.5922 0.4493 Mo
0.4078 0.5507 0.2165 Mo
0.4493 0.7835 0.5922 Mo
0.5922 0.4493 0.7835 Mo



MgTiF4 | the Materials Project database | PBE | relaxed; final energy = -35.3 eV/cell; space group = No. 123; total magnetization = 2.0 μB/f.u.
1.0
-1.0343 -1.1311 -3.2608
3.0631 -1.8695 -0.3231
-2.2572 -4.0658 2.1263
F Ti Mg
4 1 1
Direct
0.5000 0.0000 0.2552 F
0.5000 0.0000 0.7448 F
0.0000 0.5000 0.7448 F
0.0000 0.5000 0.2552 F
0.5000 0.5000 0.0000 Ti
0.0000 0.0000 0.5000 Mg



VPCl9 | the Materials Project database | PBE | relaxed; final energy = -81.1 eV/cell; space group = No. 67
1.0
6.1725 -8.4784 0.0000
6.1725 8.4784 0.0000
0.0000 0.0000 6.4389
Cl V P
18 2 2
Direct
0.2755 0.4082 0.8226 Cl
0.9081 0.4081 0.7677 Cl
0.7755 0.9082 0.1774 Cl
0.8875 0.1125 0.6085 Cl
0.3875 0.6125 0.3915 Cl
0.7245 0.5918 0.1774 Cl
0.5918 0.7245 0.8226 Cl
0.2245 0.0918 0.8226 Cl
0.1125 0.8875 0.3915 Cl
0.4081 0.9081 0.2323 Cl
0.0919 0.5919 0.2323 Cl
0.7500 0.2500 0.2698 Cl
0.9082 0.7755 0.8226 Cl
0.4082 0.2755 0.1774 Cl
0.6125 0.3875 0.6085 Cl
0.2500 0.7500 0.7302 Cl
0.0918 0.2245 0.1774 Cl
0.5919 0.0919 0.7677 Cl
0.7500 0.2500 0.6134 V
0.2500 0.7500 0.3866 V
0.7500 0.7500 0.0000 P
0.2500 0.2500 0.0000 P



Cs2RbTlI6 | the Materials Project database | PBE | relaxed; final energy = -24.1 eV/cell; space group = No. 225; total magnetization = 0.0 μB/f.u.
1.0
-0.2873 -5.4256 7.4338
-1.3248 3.6788 8.3362
-7.9688 -1.3454 4.4124
I Tl Cs Rb
6 1 2 1
Direct
0.2319 0.7681 0.2319 I
0.7681 0.7681 0.2319 I
0.2319 0.7681 0.7681 I
0.2319 0.2319 0.7681 I
0.7681 0.2319 0.7681 I
0.7681 0.2319 0.2319 I
0.0000 0.0000 0.0000 Tl
0.2500 0.2500 0.2500 Cs
0.7500 0.7500 0.7500 Cs
0.5000 0.5000 0.5000 Rb



Ce2AgSn | the Materials Project database | PBE | relaxed; final energy = -20.1 eV/cell; space group = No. 225; total magnetization = 3.0 μB/f.u.
1.0
0.0000 3.8123 3.8123
3.8123 0.0000 3.8123
3.8123 3.8123 0.0000
Ce Ag Sn
2 1 1
Direct
0.2500 0.2500 0.2500 Ce
0.7500 0.7500 0.7500 Ce
0.5000 0.5000 0.5000 Ag
0.0000 0.0000 0.0000 Sn